A plane-wave DFT calculation with GGA-PBE was carried out for a relaxed structure of LiTiNbO4. Values from VASP.

Cell and atoms, written as Quantum ESPRESSO input:
```
&SYSTEM
  ibrav = 0, nat = 14, ntyp = 4
/
ATOMIC_SPECIES
Li 6.94 Li.upf
Ti 47.87 Ti.upf
Nb 92.91 Nb.upf
O 16.00 O.upf
ATOMIC_POSITIONS angstrom
Li 3.0321 1.5290 -1.0890
Li 0.0000 1.5290 5.4141
Ti 0.0000 0.0000 0.0000
Ti 0.0000 3.0580 0.0000
Nb -1.5160 1.5290 2.1626
Nb 1.5160 1.5290 2.1626
O 1.6817 -1.5290 4.3970
O 0.0000 0.0687 2.0469
O 0.0000 2.9894 2.0469
O 1.3504 1.5290 0.0718
O 1.6817 1.5290 4.2533
O 3.0321 2.9894 2.2783
O 3.0321 0.0687 2.2783
O 1.3504 4.5871 -0.0718
CELL_PARAMETERS angstrom
-3.0321 3.0580 4.3252
3.0321 -3.0580 4.3252
3.0321 3.0580 -4.3252
```

## Properties
The space group is Imma (74). The formation energy comes out at -2.919 eV per atom. The size of the total moment comes out at 0.1 μB/cell. The value obtained for the total energy is -114.77 eV per cell. The corrected total energy (MP2020 scheme) is -120.26 eV per cell.